The following is a DFT calculation (PBE-GGA) of crystalline NaH8O5 at its relaxed geometry.

E_form = -1.31 eV per atom
Crystal system = monoclinic
E (MP2020) = -0.3754 Ry/atom

a = 7.910 Å, b = 7.910 Å, c = 11.561 Å
α = 115.46°, β = 115.46°, γ = 48.73°
Atoms (fractional coordinates):
Na 0.194 0.204 0.432
Na 0.204 0.194 0.932
Na 0.796 0.806 0.068
Na 0.806 0.796 0.568
H 0.040 0.086 0.672
H 0.086 0.040 0.172
H 0.093 0.382 0.684
H 0.116 0.762 0.495
H 0.156 0.597 0.930
H 0.179 0.655 0.287
H 0.238 0.884 0.005
H 0.263 0.444 0.704
H 0.286 0.680 0.631
H 0.295 0.541 0.071
H 0.320 0.714 0.869
H 0.345 0.821 0.213
H 0.382 0.093 0.184
H 0.403 0.844 0.570
H 0.444 0.263 0.204
H 0.459 0.705 0.429
H 0.541 0.295 0.571
H 0.556 0.737 0.796
H 0.597 0.156 0.430
H 0.618 0.907 0.816
H 0.655 0.179 0.787
H 0.680 0.286 0.131
H 0.705 0.459 0.929
H 0.714 0.320 0.369
H 0.737 0.556 0.296
H 0.762 0.116 0.995
H 0.821 0.345 0.713
H 0.844 0.403 0.070
H 0.884 0.238 0.505
H 0.907 0.618 0.316
H 0.914 0.960 0.828
H 0.960 0.914 0.328
O 0.011 0.751 0.289
O 0.123 0.803 0.589
O 0.125 0.446 0.646
O 0.166 0.543 0.995
O 0.197 0.877 0.911
O 0.249 0.989 0.211
O 0.446 0.125 0.146
O 0.457 0.834 0.505
O 0.461 0.499 0.299
O 0.499 0.461 0.799
O 0.501 0.539 0.201
O 0.539 0.501 0.701
O 0.543 0.166 0.495
O 0.554 0.875 0.854
O 0.751 0.011 0.789
O 0.803 0.123 0.089
O 0.834 0.457 0.005
O 0.875 0.554 0.354
O 0.877 0.197 0.411
O 0.989 0.249 0.711